--- one ---
# PBE with a Hubbard U Ca2Co3O8, optimized geometry
# - volume (A^3/atom) = 11.429
data_Ca2Co3O8
_cell_length_a 10.986
_cell_length_b 5.817
_cell_length_c 4.942
_cell_angle_alpha 90.00
_cell_angle_beta 109.78
_cell_angle_gamma 90.00
_space_group_name_H-M_alt 'C 1 2/m 1'
_space_group_IT_number 12
_space_group_name_Hall '-C 2y'
loop_
_atom_site_label
_atom_site_fract_x
_atom_site_fract_y
_atom_site_fract_z
Ca1 0.224 0.000 0.169
Co1 0.000 0.244 0.500
Co2 0.000 0.500 0.000
O1 0.096 0.500 0.404
O2 0.098 0.281 0.888
O3 0.103 0.000 0.463

--- two ---
# PBE with a Hubbard U Ca2Co3O8, optimized geometry
# - magnetization (μB/atom) = 0.231
# - volume (A^3/atom) = 12.588
data_Ca2Co3O8
_cell_length_a 5.9956
_cell_length_b 5.9956
_cell_length_c 10.5128
_cell_angle_alpha 90.00
_cell_angle_beta 90.00
_cell_angle_gamma 120.00
_space_group_name_H-M_alt 'P 63 m c'
_space_group_IT_number 186
_space_group_name_Hall 'P 6c -2c'
loop_
_atom_site_label
_atom_site_fract_x
_atom_site_fract_y
_atom_site_fract_z
Ca1 0.3333 0.6667 0.0000
Ca2 0.3333 0.6667 0.4014
Co1 0.1639 0.3279 0.7218
O1 0.0000 0.0000 0.3340
O2 0.0489 0.5245 0.8177
O3 0.1514 0.3029 0.1368
O4 0.3333 0.6667 0.6096

Stability ranking, top entry: one; the second entry is 87 meV per atom less favorable.

--- one ---
# PBE with a Hubbard U Ca3Co2O6, optimized geometry
# - volume (A^3/atom) = 11.468
data_Ca3Co2O6
_cell_length_a 9.1321
_cell_length_b 9.1321
_cell_length_c 10.4803
_cell_angle_alpha 90.00
_cell_angle_beta 90.00
_cell_angle_gamma 120.00
_space_group_name_H-M_alt 'R -3 c'
_space_group_IT_number 167
_space_group_name_Hall '-R 3 2"c'
loop_
_atom_site_label
_atom_site_fract_x
_atom_site_fract_y
_atom_site_fract_z
Ca1 0.0000 0.3687 0.2500
Co1 0.0000 0.0000 0.0000
Co2 0.0000 0.0000 0.2500
O1 0.0209 0.1744 0.3846

--- two ---
# PBE with a Hubbard U Ca3Co2O6, optimized geometry
# - magnetization (μB/atom) = 0.364
# - volume (A^3/atom) = 19.946
data_Ca3Co2O6
_cell_length_a 3.398
_cell_length_b 6.556
_cell_length_c 9.955
_cell_angle_alpha 83.90
_cell_angle_beta 84.30
_cell_angle_gamma 89.15
_space_group_name_H-M_alt 'P 1'
_space_group_IT_number 1
_space_group_name_Hall 'P 1'
loop_
_atom_site_label
_atom_site_fract_x
_atom_site_fract_y
_atom_site_fract_z
Ca1 0.000 0.000 0.000
Ca2 0.001 0.504 0.993
Ca3 0.143 0.570 0.561
Co1 0.493 0.803 0.764
Co2 0.507 0.272 0.769
O1 0.146 0.038 0.782
O2 0.167 0.545 0.781
O3 0.511 0.757 0.986
O4 0.517 0.254 0.976
O5 0.637 0.793 0.590
O6 0.649 0.340 0.597

Stability ranking, top entry: one; the second entry is 376 meV per atom less favorable.

--- one ---
# PBE with a Hubbard U Ca3Co2O6, optimized geometry
# - magnetization (μB/atom) = 0.364
# - volume (A^3/atom) = 11.749
data_Ca3Co2O6
_cell_length_a 6.350
_cell_length_b 6.372
_cell_length_c 6.401
_cell_angle_alpha 92.09
_cell_angle_beta 91.89
_cell_angle_gamma 92.24
_space_group_name_H-M_alt 'P 1'
_space_group_IT_number 1
_space_group_name_Hall 'P 1'
loop_
_atom_site_label
_atom_site_fract_x
_atom_site_fract_y
_atom_site_fract_z
Ca1 0.000 0.000 0.000
Ca2 0.132 0.501 0.870
Ca3 0.267 0.364 0.374
Ca4 0.501 0.867 0.139
Ca5 0.637 0.731 0.641
Ca6 0.770 0.232 0.511
Co1 0.141 0.864 0.503
Co2 0.386 0.117 0.758
Co3 0.628 0.367 0.011
Co4 0.884 0.615 0.253
O1 0.101 0.160 0.676
O2 0.172 0.699 0.211
O3 0.301 0.832 0.801
O4 0.341 0.197 0.043
O5 0.429 0.035 0.471
O6 0.469 0.401 0.713
O7 0.595 0.531 0.301
O8 0.670 0.071 0.837
O9 0.798 0.665 0.961
O10 0.842 0.901 0.341
O11 0.926 0.329 0.170
O12 0.971 0.567 0.549

--- two ---
# PBE with a Hubbard U Ca3Co2O6, optimized geometry
# - volume (A^3/atom) = 11.586
data_Ca3Co2O6
_cell_length_a 6.327
_cell_length_b 6.340
_cell_length_c 6.367
_cell_angle_alpha 91.99
_cell_angle_beta 92.02
_cell_angle_gamma 92.10
_space_group_name_H-M_alt 'P 1'
_space_group_IT_number 1
_space_group_name_Hall 'P 1'
loop_
_atom_site_label
_atom_site_fract_x
_atom_site_fract_y
_atom_site_fract_z
Ca1 0.000 0.000 0.000
Ca2 0.131 0.869 0.500
Ca3 0.363 0.363 0.271
Ca4 0.496 0.230 0.772
Ca5 0.630 0.732 0.638
Ca6 0.864 0.498 0.136
Co1 0.246 0.614 0.885
Co2 0.503 0.860 0.139
Co3 0.746 0.114 0.385
Co4 0.994 0.373 0.636
O1 0.032 0.196 0.338
O2 0.166 0.330 0.934
O3 0.205 0.701 0.171
O4 0.290 0.530 0.599
O5 0.329 0.899 0.838
O6 0.462 0.036 0.435
O7 0.534 0.571 0.967
O8 0.662 0.159 0.101
O9 0.704 0.402 0.468
O10 0.791 0.827 0.304
O11 0.833 0.071 0.670
O12 0.959 0.661 0.805

Stability ranking, top entry: one; the second entry is 5 meV per atom less favorable.

--- one ---
# PBE with a Hubbard U Ca2Co2O5, optimized geometry
# - magnetization (μB/atom) = 0.482
# - volume (A^3/atom) = 11.619
data_Ca2Co2O5
_cell_length_a 5.428
_cell_length_b 10.276
_cell_length_c 3.750
_cell_angle_alpha 90.00
_cell_angle_beta 90.00
_cell_angle_gamma 90.00
_space_group_name_H-M_alt 'P b a m'
_space_group_IT_number 55
_space_group_name_Hall '-P 2 2ab'
loop_
_atom_site_label
_atom_site_fract_x
_atom_site_fract_y
_atom_site_fract_z
Ca1 0.192 0.131 0.000
Co1 0.222 0.377 0.500
O1 0.000 0.000 0.500
O2 0.079 0.710 0.500
O3 0.212 0.395 0.000

--- two ---
# PBE with a Hubbard U Ca2Co2O5, optimized geometry
# - magnetization (μB/atom) = 0.052
# - volume (A^3/atom) = 12.438
data_Ca2Co2O5
_cell_length_a 5.333
_cell_length_b 15.102
_cell_length_c 11.120
_cell_angle_alpha 90.00
_cell_angle_beta 90.40
_cell_angle_gamma 90.00
_space_group_name_H-M_alt 'P 1 21/m 1'
_space_group_IT_number 11
_space_group_name_Hall '-P 2yb'
loop_
_atom_site_label
_atom_site_fract_x
_atom_site_fract_y
_atom_site_fract_z
Ca1 0.011 0.109 0.011
Ca2 0.012 0.610 0.489
Ca3 0.479 0.610 0.260
Ca4 0.480 0.110 0.238
Co1 0.009 0.000 0.751
Co2 0.052 0.250 0.781
Co3 0.053 0.750 0.720
Co4 0.456 0.250 0.470
Co5 0.456 0.750 0.029
Co6 0.500 0.000 0.000
Co7 0.500 0.000 0.500
O1 0.008 0.141 0.218
O2 0.008 0.641 0.283
O3 0.089 0.750 0.058
O4 0.090 0.250 0.442
O5 0.228 0.015 0.372
O6 0.246 0.516 0.121
O7 0.254 0.010 0.867
O8 0.270 0.510 0.621
O9 0.416 0.250 0.807
O10 0.417 0.750 0.693
O11 0.474 0.142 0.032
O12 0.474 0.642 0.468

Stability ranking, top entry: one; the second entry is 106 meV per atom less favorable.

--- one ---
# PBE with a Hubbard U Ca2Co2O5, optimized geometry
# - magnetization (μB/atom) = 0.611
# - volume (A^3/atom) = 12.274
data_Ca2Co2O5
_cell_length_a 14.775
_cell_length_b 5.367
_cell_length_c 11.146
_cell_angle_alpha 90.00
_cell_angle_beta 90.08
_cell_angle_gamma 90.00
_space_group_name_H-M_alt 'P 1 2/c 1'
_space_group_IT_number 13
_space_group_name_Hall '-P 2yc'
loop_
_atom_site_label
_atom_site_fract_x
_atom_site_fract_y
_atom_site_fract_z
Ca1 0.105 0.013 0.011
Ca2 0.105 0.487 0.239
Ca3 0.390 0.014 0.011
Ca4 0.390 0.484 0.237
Co1 0.000 0.006 0.750
Co2 0.000 0.500 0.000
Co3 0.246 0.053 0.783
Co4 0.247 0.454 0.469
Co5 0.500 0.006 0.750
Co6 0.500 0.500 0.000
O1 0.014 0.260 0.873
O2 0.017 0.245 0.378
O3 0.133 0.004 0.221
O4 0.137 0.476 0.031
O5 0.248 0.091 0.442
O6 0.248 0.413 0.807
O7 0.354 0.016 0.215
O8 0.358 0.476 0.031
O9 0.485 0.239 0.372
O10 0.489 0.253 0.869

--- two ---
# PBE with a Hubbard U Ca2Co2O5, optimized geometry
# - magnetization (μB/atom) = 0.222
# - volume (A^3/atom) = 12.354
data_Ca2Co2O5
_cell_length_a 5.368
_cell_length_b 5.203
_cell_length_c 7.961
_cell_angle_alpha 90.00
_cell_angle_beta 90.05
_cell_angle_gamma 90.00
_space_group_name_H-M_alt 'P 1 21 1'
_space_group_IT_number 4
_space_group_name_Hall 'P 2yb'
loop_
_atom_site_label
_atom_site_fract_x
_atom_site_fract_y
_atom_site_fract_z
Ca1 0.204 0.000 0.252
Ca2 0.290 0.056 0.751
Co1 0.247 0.533 0.521
Co2 0.250 0.533 0.980
O1 0.032 0.231 0.551
O2 0.034 0.233 0.957
O3 0.227 0.626 0.743
O4 0.461 0.793 0.444
O5 0.463 0.793 0.056

Stability ranking, top entry: one; the second entry is 167 meV per atom less favorable.

--- one ---
# PBE with a Hubbard U Ca2CoO3, optimized geometry
# - magnetization (μB/atom) = 0.500
# - volume (A^3/atom) = 19.310
data_Ca2CoO3
_cell_length_a 4.616
_cell_length_b 4.602
_cell_length_c 11.007
_cell_angle_alpha 90.00
_cell_angle_beta 97.69
_cell_angle_gamma 90.00
_space_group_name_H-M_alt 'C 1 m 1'
_space_group_IT_number 8
_space_group_name_Hall 'C -2y'
loop_
_atom_site_label
_atom_site_fract_x
_atom_site_fract_y
_atom_site_fract_z
Ca1 0.000 0.000 0.000
Ca2 0.131 0.000 0.414
Co1 0.050 0.500 0.207
O1 0.003 0.500 0.004
O2 0.071 0.000 0.207
O3 0.130 0.500 0.410

--- two ---
# PBE with a Hubbard U Ca2CoO3, optimized geometry
# - magnetization (μB/atom) = 0.167
# - volume (A^3/atom) = 21.878
data_Ca2CoO3
_cell_length_a 6.629
_cell_length_b 3.917
_cell_length_c 10.113
_cell_angle_alpha 90.00
_cell_angle_beta 91.02
_cell_angle_gamma 90.00
_space_group_name_H-M_alt 'C 1 2/m 1'
_space_group_IT_number 12
_space_group_name_Hall '-C 2y'
loop_
_atom_site_label
_atom_site_fract_x
_atom_site_fract_y
_atom_site_fract_z
Ca1 0.148 0.000 0.209
Co1 0.000 0.500 0.000
O1 0.000 0.000 0.000
O2 0.011 0.500 0.791

Stability ranking, top entry: one; the second entry is 142 meV per atom less favorable.